Ba4ZrRu3O12 | GGA-PBE | relaxed

## Properties
**E_form**: -2560 meV/atom
**SG**: No. 166
**Total magnetization**: 3.980 μB/cell

a = 10.321 Å, b = 10.321 Å, c = 10.321 Å
α = 33.13°, β = 33.13°, γ = 33.13°
Positions (direct):
Ba 0.128 0.128 0.128
Ba 0.287 0.287 0.287
Ba 0.713 0.713 0.713
Ba 0.872 0.872 0.872
Zr 0.000 0.000 0.000
Ru 0.413 0.413 0.413
Ru 0.500 0.500 0.500
Ru 0.587 0.587 0.587
O 0.145 0.612 0.612
O 0.211 0.211 0.701
O 0.211 0.701 0.211
O 0.299 0.789 0.789
O 0.388 0.388 0.855
O 0.388 0.855 0.388
O 0.612 0.145 0.612
O 0.612 0.612 0.145
O 0.701 0.211 0.211
O 0.789 0.299 0.789
O 0.789 0.789 0.299
O 0.855 0.388 0.388